This record from Materials Project describes a relaxed structure of NaTaSi2GeSO12. The functional is PBE.

Values from the calculation:
Final energy, eV per cell: -789.18
Total moment, μB/f.u.: 0.00
ΔH_f (0 K), eV per atom: -2.64

Cell: 8.790 8.694 22.551 Å, 92.94 90.00 120.37°
Fractional coordinates of all 108 atoms:
Na 0.014 0.012 0.496
Na 0.998 0.012 0.996
Na 0.681 0.345 0.829
Na 0.664 0.345 0.329
Na 0.347 0.678 0.163
Na 0.331 0.678 0.663
Ta 0.002 0.994 0.643
Ta 0.993 0.994 0.143
Ta 0.668 0.328 0.977
Ta 0.659 0.328 0.477
Ta 0.335 0.661 0.310
Ta 0.326 0.661 0.810
Si 0.289 0.999 0.250
Si 0.725 0.711 0.250
Si 0.986 0.711 0.750
Si 0.711 0.999 0.750
Si 0.955 0.333 0.583
Si 0.392 0.045 0.584
Si 0.652 0.045 0.084
Si 0.377 0.333 0.083
Si 0.622 0.666 0.916
Si 0.059 0.378 0.917
Si 0.319 0.378 0.417
Si 0.044 0.666 0.416
Ge 0.032 0.984 0.355
Ge 0.952 0.984 0.855
Ge 0.698 0.317 0.689
Ge 0.619 0.317 0.189
Ge 0.365 0.651 0.022
Ge 0.286 0.651 0.522
S 0.989 0.282 0.252
S 0.293 0.282 0.752
S 0.656 0.616 0.585
S 0.959 0.616 0.085
S 0.323 0.949 0.918
S 0.626 0.949 0.418
O 0.216 0.046 0.310
O 0.847 0.814 0.311
O 0.972 0.182 0.303
O 0.210 0.182 0.803
O 0.968 0.814 0.811
O 0.830 0.046 0.810
O 0.809 0.975 0.692
O 0.182 0.201 0.695
O 0.024 0.831 0.693
O 0.807 0.831 0.193
O 0.019 0.201 0.195
O 0.166 0.975 0.192
O 0.883 0.379 0.644
O 0.513 0.148 0.644
O 0.639 0.515 0.637
O 0.876 0.515 0.137
O 0.634 0.148 0.144
O 0.496 0.379 0.144
O 0.475 0.308 0.025
O 0.849 0.534 0.029
O 0.691 0.165 0.026
O 0.474 0.165 0.526
O 0.686 0.534 0.529
O 0.833 0.308 0.525
O 0.550 0.713 0.977
O 0.180 0.481 0.977
O 0.306 0.849 0.970
O 0.543 0.849 0.470
O 0.301 0.481 0.477
O 0.163 0.713 0.477
O 0.142 0.641 0.358
O 0.515 0.868 0.362
O 0.358 0.498 0.359
O 0.140 0.498 0.859
O 0.352 0.868 0.862
O 0.499 0.641 0.858
O 0.023 0.842 0.412
O 0.802 0.977 0.411
O 0.136 0.183 0.407
O 0.047 0.183 0.907
O 0.175 0.977 0.911
O 0.819 0.842 0.912
O 0.974 0.156 0.590
O 0.193 0.015 0.592
O 0.827 0.795 0.587
O 0.968 0.795 0.087
O 0.822 0.015 0.092
O 0.182 0.156 0.090
O 0.690 0.175 0.745
O 0.469 0.311 0.745
O 0.803 0.516 0.740
O 0.714 0.516 0.240
O 0.842 0.311 0.245
O 0.485 0.175 0.245
O 0.641 0.489 0.923
O 0.860 0.349 0.926
O 0.493 0.128 0.921
O 0.635 0.128 0.421
O 0.489 0.349 0.426
O 0.848 0.489 0.423
O 0.357 0.509 0.078
O 0.135 0.644 0.078
O 0.469 0.850 0.074
O 0.380 0.850 0.574
O 0.509 0.644 0.578
O 0.152 0.509 0.578
O 0.308 0.823 0.257
O 0.526 0.682 0.259
O 0.160 0.462 0.254
O 0.301 0.462 0.754
O 0.156 0.682 0.759
O 0.515 0.823 0.757